Entry 1:
40
Lattice="6.595 0.000 0.000 0.000 7.083 -0.005 0.000 2.999 21.772" Properties=species:S:1:pos:R:3 comment="meta-GGA r2SCAN Nd3S2Cl5, optimized geometry" sg="P2_1/c (14)" delta_e_f_ev_per_atom=-2.52 pbc="T T T"
Cl 5.578 2.785 19.169
Cl 0.906 2.335 5.356
Cl 2.392 5.876 5.354
Cl 4.808 4.275 10.620
Cl 4.411 6.262 13.624
Cl 1.787 5.808 11.147
Cl 4.314 6.326 19.167
Cl 1.191 5.364 21.374
Cl 2.183 3.820 8.143
Cl 4.488 1.177 0.395
Cl 1.511 2.266 11.149
Cl 5.481 2.721 13.626
Cl 4.203 4.206 16.413
Cl 5.404 4.718 0.393
Cl 1.016 7.298 2.598
Cl 2.106 8.906 21.372
Cl 1.114 7.362 8.141
Cl 2.281 3.756 2.601
Cl 5.689 7.748 16.411
Cl 5.084 7.817 10.618
S 1.245 5.325 17.992
S 2.052 8.867 17.990
S 4.539 1.233 7.226
S 2.055 8.850 14.541
S 5.350 4.757 3.775
S 1.242 5.308 14.544
S 4.543 1.216 3.777
S 5.353 4.775 7.223
Nd 0.294 7.419 12.973
Nd 3.587 3.286 5.462
Nd 6.306 6.828 5.460
Nd 3.004 3.857 19.605
Nd 3.003 3.877 12.975
Nd 3.008 6.796 16.305
Nd 6.301 2.684 2.165
Nd 3.591 6.226 2.162
Nd 6.300 2.663 8.794
Nd 0.289 3.254 16.307
Nd 0.294 7.398 19.603
Nd 3.592 6.205 8.792



Entry 2:
88
Lattice="-6.356 -1.349 8.195 -9.543 -2.427 -7.801 3.785 -15.904 0.317" Properties=species:S:1:pos:R:3 comment="meta-GGA r2SCAN Nd3SiS6Cl, optimized geometry" sg="Pnma (62)" delta_e_f_ev_per_atom=-2.00 pbc="T T T"
S -3.685 -7.657 -0.782
S -8.429 -12.023 1.493
S 2.108 -12.420 0.706
S -2.811 -13.013 -3.207
S -9.610 -4.023 -4.780
S -4.550 -9.853 4.859
S -7.225 -9.295 2.876
S -4.889 -10.385 -2.165
S -7.564 -9.827 -4.148
S -7.742 -3.663 3.402
S -4.926 -13.462 -0.480
S -7.879 -9.126 -0.813
S -6.270 -13.324 -3.721
S -6.675 -5.939 -4.941
S -4.372 -16.017 -2.692
S -4.585 -16.855 -6.204
S -6.764 -14.860 2.317
S -9.303 -6.667 3.918
S -1.178 -9.905 -2.418
S -8.167 -14.618 -0.853
S -14.222 -7.260 0.005
S -7.637 -18.145 1.099
S 1.427 -15.661 1.865
S -8.697 -6.368 -2.335
S -1.926 -4.633 -1.042
S -7.642 -17.504 -2.263
S -0.643 -10.425 1.121
S -10.936 -9.775 3.128
S -10.188 -15.047 1.753
S -2.302 -12.345 6.192
S -4.477 -1.535 -0.389
S -5.350 -4.820 -1.607
S -4.235 -10.554 1.523
S -5.439 -13.741 5.651
S -1.116 -13.720 0.212
S -13.541 -4.019 -1.154
S -3.417 -13.312 3.045
S -10.998 -5.960 0.498
S -11.471 -9.255 -0.411
S -0.007 -12.870 3.433
S -9.812 -7.335 -5.482
S -7.188 -6.218 1.190
S -5.844 -6.356 4.431
S -12.107 -6.810 -2.723
S -2.504 -15.657 5.490
S -3.947 -5.062 1.564
S -7.529 -2.825 6.915
S -4.472 -2.176 2.973
Cl -12.506 -12.369 1.006
Cl -3.693 -16.649 1.671
Cl -9.903 -11.817 -2.350
Cl -6.296 -17.202 5.027
Cl -2.211 -7.863 3.060
Cl 0.392 -7.311 -0.296
Cl -5.818 -2.478 -4.317
Cl -8.421 -3.031 -0.961
Si 0.103 -12.386 1.377
Si -4.592 -13.922 -2.517
Si -3.402 -13.787 5.102
Si -12.217 -7.294 -0.667
Si -8.712 -5.893 -4.391
Si -3.729 -5.571 -0.473
Si -7.522 -5.758 3.228
Si -8.385 -14.109 1.183
Nd -9.916 -17.074 -0.492
Nd -9.346 -8.270 1.399
Nd -2.768 -11.410 -0.689
Nd -9.902 -8.941 -2.956
Nd -1.261 -15.471 2.568
Nd -6.697 -16.163 -4.519
Nd -10.853 -4.209 -1.858
Nd 1.365 -14.914 -0.817
Nd -4.936 -11.317 7.178
Nd -5.417 -3.517 5.230
Nd -7.209 -11.739 -1.431
Nd -4.584 -11.181 -4.817
Nd -4.905 -7.941 2.141
Nd -3.453 -2.754 -2.655
Nd -8.662 -16.926 3.365
Nd -6.088 -11.895 3.330
Nd -6.177 -3.333 0.857
Nd -7.531 -8.499 5.527
Nd -2.212 -10.738 3.666
Nd -2.199 -2.606 1.202
Nd -13.479 -4.766 1.528
Nd -5.937 -16.347 -0.147
Nd -7.178 -8.363 -6.468
Nd -6.026 -7.785 -2.619



Across the entries above, calculated density takes the values 4.40 4.26 g/cm3, respectively.